MnTeH18S3N6, relaxed, DFT PBE-GGA; MP2020-corrected energy = -5.139 eV per atom; energy of formation = -0.46 eV/atom; crystal system = monoclinic; ρ = 1.7 Mg/m³; total energy = -5.012 eV/atom
1.0
-1.017 -3.557 -6.574
-8.822 -5.277 4.220
-10.316 13.543 -4.630
Mn Te H S N
4 4 72 12 24
Direct
0.682 0.265 0.609
0.318 0.765 0.891
0.318 0.735 0.391
0.682 0.235 0.109
0.830 0.770 0.654
0.170 0.270 0.846
0.170 0.230 0.346
0.830 0.730 0.154
0.968 0.425 0.601
0.032 0.925 0.899
0.032 0.575 0.399
0.968 0.075 0.101
0.912 0.431 0.689
0.088 0.931 0.811
0.088 0.569 0.311
0.912 0.069 0.189
0.032 0.315 0.661
0.968 0.815 0.839
0.968 0.685 0.339
0.032 0.185 0.161
0.566 0.336 0.461
0.434 0.836 0.039
0.434 0.664 0.539
0.566 0.164 0.961
0.669 0.452 0.506
0.331 0.952 0.994
0.331 0.548 0.494
0.669 0.048 0.006
0.787 0.346 0.469
0.213 0.846 0.031
0.213 0.654 0.531
0.787 0.154 0.969
0.455 0.382 0.708
0.545 0.882 0.792
0.545 0.618 0.292
0.455 0.118 0.208
0.580 0.486 0.672
0.420 0.986 0.828
0.420 0.514 0.328
0.580 0.014 0.172
0.405 0.434 0.621
0.595 0.934 0.879
0.595 0.566 0.379
0.405 0.066 0.121
0.652 0.077 0.711
0.348 0.577 0.789
0.348 0.923 0.289
0.652 0.423 0.211
0.822 0.159 0.743
0.178 0.659 0.757
0.178 0.841 0.257
0.822 0.341 0.243
0.615 0.201 0.760
0.385 0.701 0.740
0.385 0.799 0.240
0.615 0.299 0.260
0.349 0.162 0.616
0.651 0.662 0.884
0.651 0.838 0.384
0.349 0.338 0.116
0.378 0.178 0.524
0.622 0.678 0.976
0.622 0.822 0.476
0.378 0.322 0.024
0.472 0.063 0.574
0.528 0.563 0.926
0.528 0.937 0.426
0.472 0.437 0.074
0.808 0.054 0.536
0.192 0.554 0.964
0.192 0.946 0.464
0.808 0.446 0.036
0.952 0.166 0.524
0.048 0.666 0.976
0.048 0.834 0.476
0.952 0.334 0.024
0.953 0.092 0.606
0.047 0.592 0.894
0.047 0.908 0.394
0.953 0.408 0.106
0.819 0.627 0.754
0.181 0.127 0.746
0.181 0.373 0.246
0.819 0.873 0.254
0.856 0.659 0.540
0.144 0.159 0.960
0.144 0.341 0.460
0.856 0.841 0.040
0.544 0.856 0.644
0.456 0.356 0.856
0.456 0.144 0.356
0.544 0.644 0.144
0.930 0.373 0.645
0.070 0.873 0.855
0.070 0.627 0.355
0.930 0.127 0.145
0.672 0.362 0.496
0.328 0.862 0.004
0.328 0.638 0.504
0.672 0.138 0.996
0.508 0.410 0.658
0.492 0.910 0.842
0.492 0.590 0.342
0.508 0.090 0.158
0.694 0.163 0.721
0.306 0.663 0.779
0.306 0.837 0.279
0.694 0.337 0.221
0.439 0.153 0.575
0.561 0.653 0.925
0.561 0.847 0.425
0.439 0.347 0.075
0.872 0.126 0.562
0.128 0.626 0.938
0.128 0.874 0.438
0.872 0.374 0.062

=====

La3InPb4, relaxed, DFT PBE-GGA; energy of formation = -0.55 eV/atom; crystal system = orthorhombic; ρ = 8.9 Mg/m³; total energy = -4.601 eV/atom
1.0
1.773 -8.134 3.252
-5.307 -3.548 -6.255
3.206 -6.332 -5.442
La In Pb
6 2 8
Direct
0.661 0.161 0.179
0.340 0.840 0.821
0.160 0.341 0.500
0.841 0.660 0.500
0.750 0.750 0.000
0.250 0.250 0.000
0.322 0.822 0.214
0.036 0.536 0.786
0.500 0.500 0.000
0.000 0.000 0.000
0.822 0.035 0.500
0.535 0.322 0.500
0.676 0.176 0.790
0.966 0.466 0.210
0.178 0.963 0.500
0.463 0.678 0.500

=====

AsN3F6, relaxed, DFT PBE-GGA; MP2020-corrected energy = -4.185 eV per atom; energy of formation = -0.07 eV/atom; crystal system = triclinic; ρ = 1.1 Mg/m³; total energy = -3.908 eV/atom
1.0
7.389 -1.617 -1.025
-5.856 -5.184 -4.301
-2.423 4.206 -4.353
As N F
1 3 6
Direct
0.000 0.000 0.000
0.000 0.000 0.500
0.500 0.500 0.000
0.000 0.500 0.000
0.952 0.175 0.879
0.048 0.825 0.121
0.890 0.908 0.713
0.110 0.092 0.287
0.748 0.899 0.009
0.252 0.101 0.991

=====

CeNiSb3, relaxed, DFT PBE-GGA; MP2020-corrected energy = -5.527 eV per atom; ΔE to the lowest computed polymorph = 1 kJ/mol of formula units; energy of formation = -0.71 eV/atom; crystal system = orthorhombic; ρ = 7.8 Mg/m³; total energy = -5.411 eV/atom
1.0
6.260 0.000 0.000
0.000 12.476 0.000
0.000 0.000 18.487
Ce Ni Sb
12 12 36
Direct
0.939 0.305 0.250
0.473 0.300 0.416
0.527 0.700 0.584
0.473 0.300 0.084
0.027 0.300 0.916
0.439 0.695 0.250
0.973 0.700 0.084
0.027 0.300 0.584
0.973 0.700 0.416
0.561 0.305 0.750
0.527 0.700 0.916
0.061 0.695 0.750
0.826 0.899 0.824
0.174 0.101 0.176
0.674 0.899 0.176
0.250 0.895 0.000
0.174 0.101 0.324
0.326 0.101 0.676
0.326 0.101 0.824
0.750 0.105 0.000
0.750 0.105 0.500
0.250 0.895 0.500
0.674 0.899 0.324
0.826 0.899 0.676
0.705 0.503 0.334
0.025 0.770 0.584
0.795 0.503 0.666
0.959 0.972 0.413
0.475 0.770 0.084
0.041 0.028 0.587
0.205 0.497 0.166
0.475 0.770 0.416
0.317 0.941 0.250
0.525 0.230 0.584
0.250 0.504 0.500
0.541 0.972 0.913
0.295 0.497 0.666
0.061 0.230 0.750
0.683 0.059 0.750
0.959 0.972 0.087
0.439 0.230 0.250
0.561 0.770 0.750
0.939 0.770 0.250
0.025 0.770 0.916
0.205 0.497 0.334
0.295 0.497 0.834
0.541 0.972 0.587
0.525 0.230 0.916
0.750 0.496 0.000
0.183 0.941 0.750
0.975 0.230 0.084
0.041 0.028 0.913
0.975 0.230 0.416
0.459 0.028 0.413
0.250 0.504 0.000
0.817 0.059 0.250
0.795 0.503 0.834
0.705 0.503 0.166
0.750 0.496 0.500
0.459 0.028 0.087

=====

NbSb3O8, relaxed, DFT PBE-GGA; MP2020-corrected energy = -7.348 eV per atom; energy of formation = -2.18 eV/atom; crystal system = triclinic; ρ = 5.9 Mg/m³; total energy = -6.890 eV/atom
1.0
4.972 0.000 0.000
-0.008 5.591 0.000
-0.003 -0.046 23.908
Nb Sb O
4 12 32
Direct
0.003 0.131 0.036
0.492 0.388 0.286
0.998 0.869 0.786
0.007 0.887 0.286
0.544 0.024 0.660
0.547 0.029 0.161
0.000 0.133 0.536
0.495 0.369 0.784
0.046 0.473 0.910
0.044 0.476 0.411
0.957 0.529 0.660
0.950 0.527 0.160
0.500 0.633 0.536
0.505 0.631 0.034
0.455 0.975 0.911
0.455 0.977 0.411
0.296 0.079 0.757
0.297 0.070 0.256
0.787 0.143 0.810
0.784 0.135 0.310
0.163 0.153 0.456
0.167 0.153 0.956
0.842 0.182 0.612
0.840 0.184 0.112
0.342 0.316 0.862
0.335 0.314 0.362
0.667 0.348 0.706
0.669 0.347 0.207
0.290 0.356 0.564
0.288 0.360 0.062
0.792 0.418 0.006
0.794 0.418 0.505
0.209 0.581 0.756
0.203 0.570 0.256
0.716 0.635 0.310
0.712 0.640 0.812
0.334 0.652 0.956
0.337 0.653 0.456
0.657 0.682 0.612
0.657 0.684 0.112
0.161 0.817 0.862
0.165 0.814 0.362
0.832 0.847 0.706
0.831 0.847 0.206
0.210 0.856 0.564
0.214 0.858 0.059
0.706 0.918 0.505
0.704 0.921 0.007

=====

K3AuF6, relaxed, DFT PBE-GGA; MP2020-corrected energy = -4.102 eV per atom; energy of formation = -2.29 eV/atom; crystal system = cubic; ρ = 3.6 Mg/m³; total energy = -3.825 eV/atom
1.0
-5.950 -2.736 -0.349
-3.560 -0.813 5.448
-5.354 3.655 0.995
K Au F
3 1 6
Direct
0.750 0.750 0.750
0.250 0.250 0.250
0.500 0.500 0.500
0.000 0.000 0.000
0.769 0.231 0.231
0.231 0.231 0.769
0.231 0.769 0.769
0.231 0.769 0.231
0.769 0.231 0.769
0.769 0.769 0.231

=====

LiPaPt2, relaxed, DFT PBE-GGA; energy of formation = -0.80 eV/atom; crystal system = cubic; ρ = 13.9 Mg/m³; total energy = -6.687 eV/atom
1.0
0.000 3.350 3.350
3.350 0.000 3.350
3.350 3.350 0.000
Li Pa Pt
1 1 2
Direct
0.500 0.500 0.500
0.000 0.000 0.000
0.250 0.250 0.250
0.750 0.750 0.750

=====

CeSi3Os, relaxed, DFT PBE-GGA; energy of formation = -0.66 eV/atom; crystal system = tetragonal; ρ = 7.8 Mg/m³; total energy = -7.343 eV/atom
1.0
-2.107 2.107 4.999
2.107 -2.107 4.999
2.107 2.107 -4.999
Ce Si Os
1 3 1
Direct
0.998 0.998 0.000
0.421 0.421 0.000
0.266 0.766 0.500
0.766 0.266 0.500
0.656 0.656 0.000